--- one ---
Here is crystalline BaAl4O7 at its relaxed geometry from the Materials Project. Energies are from PBE-GGA.

Output
Calculated volume = 13.97 Å³ per atom
Total magnetization = 0.0 Bohr magnetons per cell
Calculated density = 3.5 g cm⁻³

Cell: 13.0474 4.9609 10.3610 Å, 90.00 90.00 90.00°
Space group Pmc2_1 (No. 26)
Symmetry-distinct sites (fractional):
Ba (0.0000, 0.0170, 0.0000)
Ba (0.5000, 0.4734, 0.6754)
Al (0.1183, 0.4533, 0.2399)
Al (0.2488, 0.4524, 0.9892)
Al (0.2514, 0.0514, 0.6760)
Al (0.3816, 0.0408, 0.4260)
O (0.0000, 0.4615, 0.6718)
O (0.1345, 0.4520, 0.9012)
O (0.1364, 0.1026, 0.2208)
O (0.2178, 0.3951, 0.6420)
O (0.2824, 0.1085, 0.0245)
O (0.3624, 0.3920, 0.4406)
O (0.3651, 0.0609, 0.7652)
O (0.5000, 0.0425, 0.9935)

***

--- two ---
Here is crystalline BaAl4O7 at its relaxed geometry from the Materials Project. Energies are from PBE-GGA.

Output
Calculated volume = 14.10 Å³ per atom
Total magnetization = 0.0 Bohr magnetons per cell
Calculated density = 3.5 g cm⁻³

Cell: 5.6313 12.9480 9.2815 Å, 90.00 90.00 90.00°
Space group Pnma (No. 62)
Symmetry-distinct sites (fractional):
Ba (0.1255, 0.2500, 0.0491)
Al (0.1294, 0.1270, 0.6840)
Al (0.1785, 0.0744, 0.3361)
O (0.0612, 0.2500, 0.7514)
O (0.0934, 0.6237, 0.7261)
O (0.1630, 0.5643, 0.3087)
O (0.2410, 0.1156, 0.5107)

***

Relative energies with respect to the most stable structure, expressed in kJ/mol of atoms: one 2.3; two 0.0.

***

--- one ---
Here is crystalline BaAl2O6 at its relaxed geometry from the Materials Project. Energies are from PBE-GGA.

Output
Calculated volume = 16.61 Å³ per atom
Total magnetization = 8.0 Bohr magnetons per cell
Calculated density = 3.2 g cm⁻³

Cell: 5.5388 9.8308 10.9833 Å, 90.00 90.00 90.00°
Space group Pna2_1 (No. 33)
Symmetry-distinct sites (fractional):
Ba (0.1219, 0.0417, 0.0000)
Al (0.1107, 0.3428, 0.8171)
Al (0.1760, 0.6707, 0.8513)
O (0.0381, 0.2148, 0.4164)
O (0.0912, 0.8873, 0.7478)
O (0.1103, 0.5026, 0.8910)
O (0.1199, 0.3982, 0.6623)
O (0.1439, 0.7463, 0.3675)
O (0.2039, 0.6889, 0.6878)

***

--- two ---
Here is crystalline BaAl2O6 at its relaxed geometry from the Materials Project. Energies are from PBE-GGA.

Output
Calculated volume = 16.86 Å³ per atom
Total magnetization = 8.0 Bohr magnetons per cell
Calculated density = 3.1 g cm⁻³

Cell: 5.6730 9.6429 11.0970 Å, 90.00 90.00 90.00°
Space group Pna2_1 (No. 33)
Symmetry-distinct sites (fractional):
Ba (0.1417, 0.0406, 0.0000)
Al (0.1180, 0.3433, 0.8153)
Al (0.1612, 0.6771, 0.8870)
O (0.0535, 0.2085, 0.4364)
O (0.0932, 0.5028, 0.8934)
O (0.1287, 0.7533, 0.3651)
O (0.1303, 0.4075, 0.6662)
O (0.1668, 0.8569, 0.6953)
O (0.1740, 0.7211, 0.7153)

***

Relative energies with respect to the most stable structure, expressed in kJ/mol of atoms: one 0.0; two 9.0.

***

--- one ---
Here is crystalline BaAl2O6 at its relaxed geometry from the Materials Project. Energies are from PBE-GGA.

Output
Calculated volume = 16.77 Å³ per atom
Total magnetization = 16.1 Bohr magnetons per cell
Calculated density = 3.2 g cm⁻³

Cell: 8.8637 6.9494 10.7515 Å, 90.00 114.28 90.00°
Space group C2 (No. 5)
Symmetry-distinct sites (fractional):
Ba (0.0000, 0.0000, 0.0000)
Ba (0.0000, 0.2519, 0.5000)
Al (0.0528, 0.8267, 0.3379)
Al (0.2148, 0.5760, 0.1623)
O (0.0188, 0.6126, 0.6076)
O (0.0806, 0.0174, 0.7347)
O (0.0859, 0.3640, 0.1046)
O (0.1553, 0.7685, 0.2351)
O (0.1963, 0.6306, 0.9936)
O (0.2011, 0.8858, 0.5068)

***

--- two ---
Here is crystalline BaAl2O6 at its relaxed geometry from the Materials Project. Energies are from PBE-GGA.

Output
Calculated volume = 15.24 Å³ per atom
Total magnetization = 1.2 Bohr magnetons per cell
Calculated density = 3.5 g cm⁻³

Cell: 8.4693 17.8107 7.2764 Å, 90.00 90.00 90.00°
Space group Fdd2 (No. 43)
Symmetry-distinct sites (fractional):
Ba (0.0000, 0.0000, 0.0000)
Al (0.1219, 0.0750, 0.4282)
O (0.0221, 0.4605, 0.1045)
O (0.0405, 0.1274, 0.2504)
O (0.0588, 0.2358, 0.5974)

***

--- three ---
Here is crystalline BaAl2O6 at its relaxed geometry from the Materials Project. Energies are from PBE-GGA.

Output
Calculated volume = 15.99 Å³ per atom
Total magnetization = 0.2 Bohr magnetons per cell
Calculated density = 3.3 g cm⁻³

Cell: 7.2656 12.7907 12.3883 Å, 90.00 90.00 90.00°
Space group Pbca (No. 61)
Symmetry-distinct sites (fractional):
Ba (0.1083, 0.0720, 0.1532)
Al (0.1214, 0.1465, 0.4908)
Al (0.2293, 0.6709, 0.8455)
O (0.0124, 0.6279, 0.8919)
O (0.0255, 0.0807, 0.3748)
O (0.1393, 0.2216, 0.9554)
O (0.1662, 0.5787, 0.4968)
O (0.1744, 0.0620, 0.7770)
O (0.1946, 0.7112, 0.2715)

***

Relative energies with respect to the most stable structure, expressed in kJ/mol of atoms: one 0.0; two 22.4; three 11.3.

***

--- one ---
Here is crystalline BaAl2O6 at its relaxed geometry from the Materials Project. Energies are from PBE-GGA.

Output
Calculated volume = 16.77 Å³ per atom
Total magnetization = 8.0 Bohr magnetons per cell
Calculated density = 3.2 g cm⁻³

Cell: 5.6315 5.6317 10.3869 Å, 101.84 101.74 103.81°
Space group P1 (No. 1)
Symmetry-distinct sites (fractional):
Ba (0.0000, 0.0000, 0.0000)
Ba (0.2540, 0.7505, 0.5007)
Al (0.3737, 0.6376, 0.1621)
Al (0.4657, 0.2274, 0.3365)
Al (0.4780, 0.2104, 0.8379)
Al (0.8908, 0.1234, 0.6623)
O (0.1540, 0.0804, 0.7653)
O (0.1656, 0.5619, 0.9940)
O (0.3129, 0.3856, 0.2342)
O (0.3354, 0.9033, 0.2665)
O (0.4374, 0.3263, 0.5071)
O (0.5673, 0.1718, 0.0068)
O (0.6206, 0.5505, 0.8924)
O (0.6387, 0.0632, 0.7351)
O (0.6579, 0.7207, 0.1050)
O (0.8051, 0.3749, 0.3902)
O (0.8176, 0.9186, 0.4936)
O (0.9738, 0.4066, 0.6046)

***

--- two ---
Here is crystalline BaAl2O6 at its relaxed geometry from the Materials Project. Energies are from PBE-GGA.

Output
Calculated volume = 15.60 Å³ per atom
Total magnetization = 22.0 Bohr magnetons per cell
Calculated density = 3.4 g cm⁻³

Cell: 7.5685 11.3971 13.0184 Å, 90.00 90.00 90.00°
Space group Pbca (No. 61)
Symmetry-distinct sites (fractional):
Ba (0.0874, 0.1384, 0.1543)
Al (0.1491, 0.1106, 0.4715)
Al (0.2024, 0.6241, 0.8875)
O (0.0011, 0.5846, 0.1354)
O (0.0319, 0.1089, 0.5889)
O (0.1960, 0.0082, 0.9701)
O (0.2222, 0.7309, 0.7864)
O (0.2438, 0.2504, 0.4671)
O (0.2472, 0.5069, 0.3059)

***

Relative energies with respect to the most stable structure, expressed in kJ/mol of atoms: one 9.3; two 0.0.